[1]
A geometry-optimized Li3CrP2O8 structure. Source: the Materials Project database, functional PBE with a Hubbard U.

Structure (POSCAR):
```
Li3CrP2O8
1.0
2.644 -4.243 1.217
4.969 -0.814 -1.060
4.796 4.334 11.423
Li Cr P O
6 2 4 16
Cartesian
6.842 -1.722 4.027 Li
8.435 2.243 7.636 Li
3.974 -2.966 3.944 Li
9.067 0.190 9.908 Li
3.342 -0.913 1.672 Li
5.567 0.999 7.554 Li
0.000 0.000 0.000 Cr
2.398 2.167 5.712 Cr
7.911 -0.761 7.149 P
4.497 0.038 4.432 P
5.616 -2.776 1.336 P
6.793 2.053 10.244 P
8.788 0.274 7.875 O
6.964 0.533 10.657 O
5.444 -1.256 0.923 O
4.416 -3.551 0.759 O
6.543 -1.006 7.908 O
7.571 -0.268 5.729 O
5.866 0.283 3.672 O
3.725 1.396 4.443 O
5.675 -2.948 2.864 O
5.430 2.541 10.834 O
6.978 -3.264 0.747 O
3.621 -0.997 3.705 O
8.683 -2.119 7.137 O
6.734 2.225 8.717 O
4.837 -0.455 5.851 O
7.993 2.828 10.821 O
```

Values from the calculation:
Energy of formation, eV/atom: -2.662
Density, g cm⁻³: 3.11



[2]
A geometry-optimized LiCrPO4 structure. Source: the Materials Project database, functional PBE with a Hubbard U.

Structure (POSCAR):
```
LiCrPO4
1.0
9.225 0.000 0.000
0.000 6.481 0.000
0.000 0.000 5.087
Li Cr P O
4 4 4 16
Cartesian
1.529 4.861 2.324 Li
3.083 1.620 4.867 Li
6.142 4.861 0.219 Li
7.696 1.620 2.763 Li
9.224 6.479 0.001 Cr
0.001 3.239 5.085 Cr
4.613 0.001 2.544 Cr
4.613 3.241 2.544 Cr
1.691 1.620 2.343 P
2.921 4.862 4.887 P
6.304 1.621 0.200 P
7.534 4.861 2.744 P
1.366 1.621 3.850 O
1.133 0.342 1.674 O
1.132 2.898 1.674 O
1.346 4.861 4.620 O
3.267 1.621 2.078 O
3.480 6.140 4.218 O
3.481 3.584 4.218 O
3.245 4.862 1.307 O
5.980 1.621 3.780 O
5.744 0.343 0.869 O
5.746 2.899 0.870 O
5.959 4.862 3.010 O
7.880 1.620 0.466 O
8.093 3.582 3.412 O
8.094 6.139 3.412 O
7.858 4.861 1.236 O
```

Values from the calculation:
Energy of formation, eV/atom: -2.549
Density, g cm⁻³: 3.36



[3]
A geometry-optimized LiCrPO4 structure. Source: the Materials Project database, functional PBE with a Hubbard U.

Structure (POSCAR):
```
LiCrPO4
1.0
5.054 0.003 0.000
-1.519 9.474 0.000
0.000 0.000 6.301
Li Cr P O
4 4 4 16
Cartesian
4.545 3.159 1.575 Li
1.259 7.895 1.575 Li
2.277 1.583 4.726 Li
-1.010 6.318 4.726 Li
1.768 4.737 0.002 Cr
5.052 0.006 3.151 Cr
-1.516 9.470 6.301 Cr
1.767 4.738 3.147 Cr
2.391 1.660 1.575 P
-0.895 6.396 1.575 P
4.430 3.081 4.726 P
1.144 7.815 4.726 P
2.463 3.227 1.575 O
-0.823 7.963 1.575 O
2.938 3.563 4.726 O
-0.348 8.298 4.725 O
3.884 1.179 1.575 O
0.598 5.914 1.575 O
4.359 1.514 4.726 O
1.073 6.249 4.726 O
1.669 1.160 2.848 O
3.437 5.899 2.848 O
0.098 3.578 3.452 O
1.865 8.316 3.453 O
0.098 3.578 5.999 O
1.866 8.316 5.999 O
1.669 1.160 0.302 O
3.437 5.899 0.302 O
```

Values from the calculation:
Energy of formation, eV/atom: -2.554
Density, g cm⁻³: 3.39



[4]
A geometry-optimized LiCrPO4 structure. Source: the Materials Project database, functional PBE with a Hubbard U.

Structure (POSCAR):
```
LiCrPO4
1.0
-3.467 -2.038 -2.556
4.357 -2.775 -3.697
0.149 -8.121 6.270
Li Cr P O
4 4 4 16
Cartesian
0.520 -6.466 0.008 Li
0.000 0.000 0.000 Li
2.178 -1.387 -1.849 Li
-1.659 -5.079 1.857 Li
1.740 -4.747 -2.572 Cr
3.201 -7.993 1.585 Cr
-0.701 -8.186 2.589 Cr
-2.161 -4.940 -1.568 Cr
1.384 -10.628 1.422 P
0.148 -7.251 -2.570 P
0.892 -5.682 2.587 P
-0.344 -2.304 -1.405 P
-0.265 -5.889 -1.932 O
0.177 -9.032 4.258 O
-0.410 -5.952 3.403 O
1.776 -10.892 -0.065 O
1.449 -6.981 -3.386 O
1.305 -7.044 1.949 O
2.513 -9.918 2.219 O
0.062 -9.800 1.390 O
-0.737 -2.041 0.082 O
0.562 -8.182 -1.383 O
0.478 -4.751 1.400 O
-1.473 -3.015 -2.202 O
0.977 -3.132 -1.373 O
0.863 -3.901 -4.241 O
-1.444 -7.102 0.900 O
2.484 -5.831 -0.883 O
```

Values from the calculation:
Energy of formation, eV/atom: -2.567
Density, g cm⁻³: 3.29



[5]
A geometry-optimized Li3Cr3P4O16 structure. Source: the Materials Project database, functional PBE with a Hubbard U.

Structure (POSCAR):
```
Li3Cr3P4O16
1.0
-7.887 -1.363 1.810
2.222 -1.404 8.692
-1.439 12.620 3.301
Li Cr P O
9 9 12 48
Cartesian
-3.235 0.975 4.373 Li
-2.626 4.209 11.191 Li
-0.427 1.345 4.642 Li
1.502 0.900 7.668 Li
-7.463 4.359 7.971 Li
-1.008 10.248 4.346 Li
-3.395 9.746 5.817 Li
-5.476 3.820 10.941 Li
-3.625 8.877 9.262 Li
-6.477 0.645 4.087 Cr
-1.636 5.964 2.835 Cr
-3.696 0.211 8.024 Cr
-4.955 4.952 6.265 Cr
-6.130 9.548 4.465 Cr
-0.892 0.235 9.349 Cr
-2.164 5.011 7.586 Cr
-6.710 8.540 9.139 Cr
-0.665 9.210 9.738 Cr
-1.258 0.196 1.777 P
-5.866 2.533 2.402 P
-0.979 -0.601 6.248 P
-2.235 4.058 4.503 P
-5.495 1.704 6.887 P
-6.804 6.369 5.122 P
-0.384 3.493 8.723 P
-1.623 8.172 6.837 P
-4.905 5.782 9.357 P
-6.144 10.451 7.473 P
-1.262 7.321 11.421 P
-5.713 9.620 12.012 P
-7.130 1.582 2.481 O
-2.690 0.699 2.291 O
-0.165 0.895 2.622 O
-5.056 -0.685 4.226 O
-5.065 2.025 3.646 O
-1.905 -0.274 5.103 O
-3.034 4.566 3.259 O
-1.951 2.592 4.547 O
-6.591 1.062 6.014 O
-3.086 7.253 2.668 O
-7.951 5.760 4.303 O
-4.060 1.234 6.405 O
0.271 0.262 6.253 O
-5.397 5.866 4.594 O
-0.961 4.994 4.410 O
-1.792 -0.289 7.646 O
-4.468 -1.485 8.664 O
-3.023 4.505 5.823 O
-5.646 3.224 6.893 O
-4.306 8.974 4.006 O
-5.494 1.085 8.323 O
-6.917 7.892 5.106 O
-6.729 5.790 6.577 O
-7.945 10.445 4.758 O
0.887 -0.575 9.021 O
-0.374 4.102 7.289 O
-0.230 1.971 8.704 O
-1.422 8.657 5.422 O
-2.842 0.695 9.778 O
-1.341 6.633 6.937 O
-4.080 5.475 7.971 O
-2.559 11.326 5.092 O
-5.363 10.149 6.171 O
-6.143 4.906 9.345 O
-1.810 3.969 9.211 O
-7.397 9.493 7.573 O
-2.962 8.577 7.418 O
0.719 4.122 9.606 O
-3.946 2.590 11.056 O
-0.461 8.847 7.779 O
-5.223 7.312 9.272 O
-3.989 5.478 10.519 O
-5.357 9.986 8.736 O
-2.001 7.784 10.121 O
-2.119 10.489 9.643 O
-6.844 8.937 11.148 O
-4.314 9.150 11.489 O
-0.017 8.296 11.354 O
```

Values from the calculation:
Energy of formation, eV/atom: -2.554
Density, g cm⁻³: 2.84



[6]
A geometry-optimized Li3CrP2O8 structure. Source: the Materials Project database, functional PBE with a Hubbard U.

Structure (POSCAR):
```
Li3CrP2O8
1.0
8.728 0.000 0.000
0.000 4.908 0.000
0.000 0.502 6.451
Li Cr P O
6 2 4 16
Cartesian
7.504 0.234 1.983 Li
1.224 5.176 4.468 Li
5.588 2.938 5.208 Li
4.364 0.000 0.000 Li
3.140 2.471 1.242 Li
0.000 2.705 3.225 Li
0.000 2.454 0.000 Cr
4.364 0.251 3.225 Cr
2.783 2.678 4.664 P
5.944 2.731 1.787 P
7.147 0.528 5.012 P
1.580 4.881 1.439 P
3.515 2.154 5.883 O
3.134 4.698 1.622 O
5.593 0.711 4.829 O
7.879 1.053 3.794 O
5.615 1.213 1.995 O
7.553 1.330 6.293 O
3.113 4.197 4.456 O
3.190 1.876 3.383 O
1.251 1.492 1.231 O
1.229 2.495 4.848 O
7.498 2.914 1.603 O
5.212 3.256 0.568 O
5.538 3.534 3.068 O
7.476 3.917 5.220 O
1.174 4.079 0.158 O
0.848 4.357 2.657 O
```

Values from the calculation:
Energy of formation, eV/atom: -2.663
Density, g cm⁻³: 3.16



[7]
A geometry-optimized LiCrPO5 structure. Source: the Materials Project database, functional PBE with a Hubbard U.

Structure (POSCAR):
```
LiCrPO5
1.0
7.145 0.000 -0.062
0.000 10.331 0.000
-1.619 0.000 4.710
Li Cr P O
4 4 4 20
Cartesian
0.989 1.055 0.581 Li
1.773 6.221 1.742 Li
3.752 4.110 2.905 Li
4.536 9.276 4.066 Li
0.275 9.577 2.897 Cr
0.869 4.411 4.137 Cr
4.657 5.920 0.511 Cr
5.251 0.754 1.750 Cr
-0.150 3.602 1.026 P
2.612 1.563 3.350 P
2.913 8.768 1.298 P
5.676 6.729 3.621 P
-0.891 8.078 3.229 O
1.026 3.207 0.087 O
6.703 9.877 1.212 O
-0.393 5.927 4.457 O
0.372 4.442 2.215 O
1.537 0.761 2.577 O
1.737 8.373 2.237 O
2.035 2.912 3.805 O
2.391 9.607 0.109 O
2.321 5.620 3.598 O
3.205 4.711 1.049 O
3.134 0.724 4.539 O
3.491 7.419 0.843 O
3.789 1.958 2.411 O
3.989 9.570 2.071 O
5.154 5.889 2.433 O
5.919 4.404 0.190 O
-1.177 0.454 3.435 O
4.500 7.124 4.561 O
6.417 2.253 1.419 O
```

Values from the calculation:
Energy of formation, eV/atom: -2.430
Density, g cm⁻³: 3.26



[8]
A geometry-optimized LiCr2P5O16 structure. Source: the Materials Project database, functional PBE with a Hubbard U.

Structure (POSCAR):
```
LiCr2P5O16
1.0
9.386 0.000 0.000
0.000 7.502 0.000
0.000 3.807 9.549
Li Cr P O
2 4 10 32
Cartesian
7.454 10.260 7.401 Li
1.932 8.357 2.626 Li
1.325 4.514 4.546 Cr
3.459 10.153 8.364 Cr
5.928 8.249 3.589 Cr
8.061 6.418 9.321 Cr
8.104 5.973 3.648 P
4.295 5.651 4.782 P
2.759 4.688 1.330 P
8.200 3.154 2.972 P
3.897 2.812 5.150 P
5.489 0.909 0.375 P
1.283 7.876 8.423 P
5.091 3.747 0.007 P
6.627 6.591 6.104 P
1.186 5.057 7.747 P
2.769 6.092 0.758 O
7.720 4.725 2.762 O
0.594 4.619 6.408 O
2.158 4.476 2.667 O
4.642 4.126 4.481 O
4.257 4.073 1.367 O
6.566 3.888 0.290 O
2.018 3.706 0.282 O
5.045 11.040 9.085 O
9.270 3.204 4.065 O
2.392 2.941 4.969 O
4.361 2.815 6.596 O
8.792 2.716 1.634 O
6.948 2.438 3.425 O
1.850 9.111 7.791 O
4.341 9.137 4.310 O
6.995 1.038 0.194 O
4.505 8.398 8.460 O
5.025 0.912 1.822 O
6.618 7.995 5.533 O
9.177 7.973 8.679 O
7.537 7.208 3.016 O
1.666 6.629 7.536 O
4.881 6.494 3.685 O
7.229 6.379 7.442 O
4.744 6.029 9.256 O
0.210 6.070 3.905 O
5.130 5.976 6.142 O
2.821 5.791 5.065 O
7.368 5.609 5.057 O
0.117 5.107 8.839 O
2.438 4.341 8.200 O
```

Values from the calculation:
Energy of formation, eV/atom: -2.570
Density, g cm⁻³: 2.58



[9]
A geometry-optimized Li4Cr5P6O22 structure. Source: the Materials Project database, functional PBE with a Hubbard U.

Structure (POSCAR):
```
Li4Cr5P6O22
1.0
6.913 0.000 0.000
0.000 10.911 0.000
0.000 3.284 12.201
Li Cr P O
8 10 12 44
Cartesian
5.749 5.495 2.259 Li
4.621 10.950 2.259 Li
3.366 2.207 4.012 Li
0.091 7.663 4.012 Li
6.823 6.532 8.190 Li
3.547 11.987 8.190 Li
2.292 3.244 9.942 Li
1.165 8.700 9.942 Li
3.457 5.455 0.000 Cr
1.706 2.741 1.546 Cr
0.000 0.000 0.000 Cr
1.750 8.196 1.546 Cr
0.120 3.365 4.132 Cr
3.337 8.821 4.132 Cr
3.576 5.374 8.070 Cr
6.794 10.829 8.070 Cr
5.163 5.999 10.655 Cr
5.207 11.454 10.655 Cr
5.100 2.834 1.204 P
5.270 8.289 1.204 P
2.665 5.533 3.203 P
0.791 10.988 3.203 P
4.870 6.071 5.090 P
5.500 11.526 5.090 P
1.413 2.668 7.111 P
2.044 8.124 7.111 P
6.122 3.207 8.999 P
4.248 8.662 8.999 P
1.644 5.906 10.997 P
1.813 11.361 10.997 P
5.401 1.645 0.228 O
4.820 3.954 0.118 O
4.969 7.100 0.228 O
5.550 9.410 0.118 O
3.933 2.420 2.104 O
6.280 3.368 2.061 O
3.749 5.529 2.133 O
1.611 1.378 3.175 O
6.437 7.875 2.104 O
4.090 8.824 2.061 O
1.764 4.283 3.108 O
6.621 10.984 2.133 O
1.845 6.833 3.175 O
5.516 2.128 4.796 O
1.693 9.738 3.108 O
5.980 5.441 4.237 O
3.414 5.429 4.631 O
1.510 3.018 5.636 O
4.854 7.583 4.796 O
4.390 10.897 4.237 O
0.043 10.885 4.631 O
1.946 8.473 5.636 O
4.967 5.721 6.566 O
6.870 3.310 7.571 O
2.523 3.298 7.964 O
2.059 6.612 7.405 O
5.403 11.177 6.566 O
3.500 8.765 7.571 O
0.934 8.753 7.964 O
5.221 4.456 9.093 O
1.398 12.067 7.405 O
5.068 7.361 9.027 O
0.293 3.210 10.068 O
5.149 9.912 9.093 O
2.824 5.371 10.140 O
0.476 6.320 10.097 O
5.302 12.817 9.027 O
3.164 8.666 10.068 O
0.633 10.826 10.140 O
2.981 11.775 10.097 O
1.363 4.785 12.084 O
1.944 7.094 11.973 O
2.094 10.240 12.084 O
1.512 12.550 11.973 O
```

Values from the calculation:
Energy of formation, eV/atom: -2.533
Density, g cm⁻³: 2.98